Crystalline CaIrO3 at its relaxed geometry, computed with PBE-GGA.

Computed properties:
DFT formation energy: -1.45 eV per atom
Total magnetic moment: 0.0001 μB per atom
Electronic total energy: -6.1734 eV/atom
Symmetry: Cmcm, No. 63
Corrected total energy (MP2020 scheme): -6.586 eV per atom

a b c (Å): 5.585 5.585 7.496
angles (deg): 90.00 90.00 151.08
Atoms (fractional coordinates):
Ca1 0.222 0.778 0.750
Ca2 0.778 0.222 0.250
Ir1 0.000 0.000 0.000
Ir2 0.000 0.000 0.500
O1 0.354 0.646 0.004
O2 0.354 0.646 0.496
O3 0.498 0.502 0.250
O4 0.502 0.498 0.750
O5 0.646 0.354 0.504
O6 0.646 0.354 0.996


Crystalline Ba2PrBiO6 at its relaxed geometry, computed with PBE-GGA.

Computed properties:
DFT formation energy: -2.75 eV per atom
Total magnetic moment: 0.0000 μB per atom
Electronic total energy: -6.5550 eV/atom
Symmetry: C2/m, No. 12
Corrected total energy (MP2020 scheme): -6.967 eV per atom

a b c (Å): 6.259 6.259 6.311
angles (deg): 119.96 119.96 60.13
Atoms (fractional coordinates):
Ba1 0.248 0.248 0.242
Ba2 0.752 0.752 0.758
Pr1 0.000 0.000 0.500
Bi1 0.500 0.500 0.000
O1 0.222 0.702 0.199
O2 0.263 0.263 0.693
O3 0.298 0.778 0.801
O4 0.702 0.222 0.199
O5 0.737 0.737 0.307
O6 0.778 0.298 0.801


Crystalline CaCu3Sb4O12 at its relaxed geometry, computed with PBE-GGA.

Computed properties:
DFT formation energy: -1.66 eV per atom
Total magnetic moment: 0.0331 μB per atom
Electronic total energy: -5.7601 eV/atom
Symmetry: Im-3, No. 204
Corrected total energy (MP2020 scheme): -6.172 eV per atom

a b c (Å): 6.779 6.779 6.779
angles (deg): 109.47 109.47 109.47
Atoms (fractional coordinates):
Ca1 0.000 0.000 0.000
Cu1 0.000 0.500 0.500
Cu2 0.500 0.000 0.500
Cu3 0.500 0.500 0.000
Sb1 0.000 0.000 0.500
Sb2 0.000 0.500 0.000
Sb3 0.500 0.000 0.000
Sb4 0.500 0.500 0.500
O1 0.126 0.301 0.825
O2 0.175 0.476 0.301
O3 0.175 0.874 0.699
O4 0.301 0.175 0.476
O5 0.301 0.825 0.126
O6 0.476 0.301 0.175
O7 0.524 0.699 0.825
O8 0.699 0.175 0.874
O9 0.699 0.825 0.524
O10 0.825 0.126 0.301
O11 0.825 0.524 0.699
O12 0.874 0.699 0.175


Crystalline La2TlIn at its relaxed geometry, computed with PBE-GGA.

Computed properties:
DFT formation energy: -0.46 eV per atom
Electronic total energy: -4.2068 eV/atom
Symmetry: Fm-3m, No. 225

a b c (Å): 5.634 5.634 5.634
angles (deg): 60.00 60.00 60.00
Atoms (fractional coordinates):
La1 0.250 0.250 0.250
La2 0.750 0.750 0.750
Tl1 0.000 0.000 0.000
In1 0.500 0.500 0.500


Crystalline CsTe at its relaxed geometry, computed with PBE-GGA.

Computed properties:
DFT formation energy: -1.06 eV per atom
Electronic total energy: -2.8669 eV/atom
Symmetry: Pbam, No. 55
Corrected total energy (MP2020 scheme): -3.078 eV per atom

a b c (Å): 6.323 11.822 5.104
angles (deg): 90.00 90.00 90.00
Atoms (fractional coordinates):
Cs1 0.178 0.136 0.000
Cs2 0.322 0.636 0.000
Cs3 0.678 0.364 0.000
Cs4 0.822 0.864 0.000
Te1 0.135 0.405 0.500
Te2 0.365 0.905 0.500
Te3 0.635 0.095 0.500
Te4 0.865 0.595 0.500


Crystalline TlSb3As2S8 at its relaxed geometry, computed with PBE-GGA.

Computed properties:
DFT formation energy: -0.51 eV per atom
Total magnetic moment: 0.0004 μB per atom
Electronic total energy: -4.3076 eV/atom
Symmetry: Pna2_1, No. 33
Corrected total energy (MP2020 scheme): -4.595 eV per atom

a b c (Å): 39.394 8.936 8.329
angles (deg): 90.00 90.00 90.00
Atoms (fractional coordinates):
Tl1 0.031 0.002 0.000
Tl2 0.219 0.746 0.921
Tl3 0.281 0.246 0.421
Tl4 0.469 0.502 0.500
Tl5 0.531 0.498 0.000
Tl6 0.719 0.754 0.921
Tl7 0.781 0.254 0.421
Tl8 0.969 0.998 0.500
Sb1 0.012 0.448 0.024
Sb2 0.063 0.266 0.430
Sb3 0.070 0.797 0.502
Sb4 0.140 0.306 0.195
Sb5 0.177 0.018 0.497
Sb6 0.228 0.195 0.895
Sb7 0.272 0.695 0.395
Sb8 0.323 0.518 0.997
Sb9 0.360 0.806 0.695
Sb10 0.430 0.297 0.002
Sb11 0.437 0.766 0.930
Sb12 0.488 0.948 0.524
Sb13 0.512 0.052 0.024
Sb14 0.563 0.234 0.430
Sb15 0.570 0.703 0.502
Sb16 0.640 0.194 0.195
Sb17 0.677 0.482 0.497
Sb18 0.728 0.305 0.895
Sb19 0.772 0.805 0.395
Sb20 0.823 0.982 0.997
Sb21 0.860 0.694 0.695
Sb22 0.930 0.203 0.002
Sb23 0.937 0.734 0.930
Sb24 0.988 0.552 0.524
As1 0.109 0.486 0.841
As2 0.126 0.041 0.830
As3 0.128 0.731 0.157
As4 0.192 0.531 0.497
As5 0.308 0.031 0.997
As6 0.372 0.231 0.657
As7 0.374 0.541 0.330
As8 0.391 0.986 0.341
As9 0.609 0.014 0.841
As10 0.626 0.459 0.830
As11 0.628 0.769 0.157
As12 0.692 0.969 0.497
As13 0.808 0.469 0.997
As14 0.872 0.269 0.657
As15 0.874 0.959 0.330
As16 0.891 0.514 0.341
S1 0.008 0.275 0.273
S2 0.017 0.736 0.343
S3 0.045 0.455 0.633
S4 0.047 0.050 0.604
S5 0.084 0.302 0.986
S6 0.086 0.695 0.968
S7 0.099 0.933 0.279
S8 0.116 0.559 0.350
S9 0.143 0.216 0.646
S10 0.148 0.840 0.685
S11 0.161 0.480 0.983
S12 0.169 0.066 0.022
S13 0.200 0.329 0.331
S14 0.205 0.732 0.338
S15 0.232 0.028 0.655
S16 0.248 0.524 0.604
S17 0.252 0.024 0.104
S18 0.268 0.528 0.155
S19 0.295 0.232 0.838
S20 0.300 0.829 0.831
S21 0.331 0.566 0.522
S22 0.339 0.980 0.483
S23 0.352 0.340 0.185
S24 0.357 0.716 0.146
S25 0.384 0.059 0.850
S26 0.401 0.433 0.779
S27 0.414 0.195 0.468
S28 0.416 0.802 0.486
S29 0.453 0.550 0.104
S30 0.455 0.955 0.133
S31 0.483 0.236 0.843
S32 0.492 0.775 0.773
S33 0.508 0.225 0.273
S34 0.517 0.764 0.343
S35 0.545 0.045 0.633
S36 0.547 0.450 0.604
S37 0.584 0.198 0.986
S38 0.586 0.805 0.968
S39 0.599 0.567 0.279
S40 0.616 0.941 0.350
S41 0.643 0.284 0.646
S42 0.648 0.660 0.685
S43 0.661 0.020 0.983
S44 0.669 0.434 0.022
S45 0.700 0.171 0.331
S46 0.705 0.768 0.338
S47 0.732 0.472 0.655
S48 0.748 0.976 0.604
S49 0.752 0.476 0.104
S50 0.768 0.972 0.155
S51 0.795 0.268 0.838
S52 0.800 0.671 0.831
S53 0.831 0.934 0.522
S54 0.839 0.520 0.483
S55 0.852 0.160 0.185
S56 0.857 0.784 0.146
S57 0.884 0.441 0.850
S58 0.901 0.067 0.779
S59 0.914 0.305 0.468
S60 0.916 0.698 0.486
S61 0.953 0.950 0.104
S62 0.955 0.545 0.133
S63 0.983 0.264 0.843
S64 0.992 0.725 0.773


Crystalline K6Sn3As5 at its relaxed geometry, computed with PBE-GGA.

Computed properties:
DFT formation energy: -0.43 eV per atom
Electronic total energy: -3.4328 eV/atom
Symmetry: Pmmn, No. 59

a b c (Å): 10.881 15.038 11.139
angles (deg): 90.00 90.00 90.00
Atoms (fractional coordinates):
K1 0.042 0.103 0.105
K2 0.042 0.397 0.105
K3 0.048 0.101 0.700
K4 0.048 0.399 0.700
K5 0.250 0.030 0.411
K6 0.250 0.250 0.901
K7 0.250 0.470 0.411
K8 0.250 0.750 0.418
K9 0.452 0.101 0.700
K10 0.452 0.399 0.700
K11 0.458 0.103 0.105
K12 0.458 0.397 0.105
K13 0.542 0.603 0.895
K14 0.542 0.897 0.895
K15 0.548 0.601 0.300
K16 0.548 0.899 0.300
K17 0.750 0.250 0.582
K18 0.750 0.530 0.589
K19 0.750 0.750 0.099
K20 0.750 0.970 0.589
K21 0.952 0.601 0.300
K22 0.952 0.899 0.300
K23 0.958 0.603 0.895
K24 0.958 0.897 0.895
Sn1 0.081 0.250 0.396
Sn2 0.250 0.624 0.119
Sn3 0.250 0.648 0.733
Sn4 0.250 0.852 0.733
Sn5 0.250 0.876 0.119
Sn6 0.419 0.250 0.396
Sn7 0.581 0.750 0.604
Sn8 0.750 0.124 0.881
Sn9 0.750 0.148 0.267
Sn10 0.750 0.352 0.267
Sn11 0.750 0.376 0.881
Sn12 0.919 0.750 0.604
As1 0.057 0.606 0.592
As2 0.057 0.894 0.592
As3 0.068 0.750 0.101
As4 0.250 0.250 0.218
As5 0.250 0.250 0.574
As6 0.250 0.524 0.911
As7 0.250 0.976 0.911
As8 0.432 0.750 0.101
As9 0.443 0.606 0.592
As10 0.443 0.894 0.592
As11 0.557 0.106 0.408
As12 0.557 0.394 0.408
As13 0.568 0.250 0.899
As14 0.750 0.024 0.089
As15 0.750 0.476 0.089
As16 0.750 0.750 0.426
As17 0.750 0.750 0.782
As18 0.932 0.250 0.899
As19 0.943 0.106 0.408
As20 0.943 0.394 0.408


Crystalline Cu2SiP4 at its relaxed geometry, computed with PBE-GGA.

Computed properties:
DFT formation energy: 0.50 eV per atom
Total magnetic moment: 0.0001 μB per atom
Electronic total energy: -4.5371 eV/atom
Symmetry: I4_1/a, No. 88

a b c (Å): 9.830 9.830 9.830
angles (deg): 93.62 93.62 150.88
Atoms (fractional coordinates):
Cu1 0.034 0.651 0.650
Cu2 0.116 0.466 0.117
Cu3 0.151 0.001 0.617
Cu4 0.499 0.616 0.150
Cu5 0.501 0.384 0.850
Cu6 0.849 0.999 0.383
Cu7 0.884 0.534 0.883
Cu8 0.966 0.349 0.350
Si1 0.000 0.000 0.000
Si2 0.500 0.000 0.000
Si3 0.500 0.000 0.500
Si4 0.500 0.500 0.500
P1 0.114 0.802 0.436
P2 0.134 0.322 0.936
P3 0.178 0.614 0.813
P4 0.198 0.075 0.366
P5 0.210 0.832 0.134
P6 0.302 0.366 0.687
P7 0.332 0.698 0.622
P8 0.425 0.290 0.122
P9 0.575 0.710 0.878
P10 0.668 0.302 0.378
P11 0.698 0.634 0.313
P12 0.790 0.168 0.866
P13 0.802 0.925 0.634
P14 0.822 0.386 0.187
P15 0.866 0.678 0.064
P16 0.886 0.198 0.564


Crystalline CaBeSi3O12 at its relaxed geometry, computed with PBE-GGA.

Computed properties:
DFT formation energy: -1.79 eV per atom
Total magnetic moment: 0.3986 μB per atom
Electronic total energy: -6.4656 eV/atom
Symmetry: P2/c, No. 13
Corrected total energy (MP2020 scheme): -6.579 eV per atom

a b c (Å): 5.129 18.225 11.100
angles (deg): 90.00 107.32 90.00
Atoms (fractional coordinates):
Ca1 0.000 0.011 0.250
Ca2 0.000 0.476 0.250
Ca3 0.000 0.524 0.750
Ca4 0.000 0.989 0.750
Be1 0.165 0.335 0.453
Be2 0.165 0.665 0.953
Be3 0.835 0.335 0.047
Be4 0.835 0.665 0.547
Si1 0.171 0.166 0.469
Si2 0.171 0.834 0.969
Si3 0.357 0.075 0.043
Si4 0.357 0.925 0.543
Si5 0.368 0.421 0.049
Si6 0.368 0.579 0.549
Si7 0.632 0.421 0.451
Si8 0.632 0.579 0.951
Si9 0.643 0.075 0.457
Si10 0.643 0.925 0.957
Si11 0.829 0.166 0.031
Si12 0.829 0.834 0.531
O1 0.091 0.254 0.799
O2 0.091 0.746 0.299
O3 0.134 0.366 0.068
O4 0.134 0.634 0.568
O5 0.141 0.133 0.076
O6 0.141 0.867 0.576
O7 0.187 0.250 0.428
O8 0.187 0.750 0.928
O9 0.274 0.338 0.610
O10 0.274 0.662 0.110
O11 0.281 0.443 0.898
O12 0.281 0.557 0.398
O13 0.293 0.063 0.891
O14 0.293 0.937 0.391
O15 0.305 0.172 0.622
O16 0.305 0.828 0.122
O17 0.316 0.001 0.119
O18 0.316 0.999 0.619
O19 0.327 0.390 0.391
O20 0.327 0.610 0.891
O21 0.331 0.109 0.397
O22 0.331 0.891 0.897
O23 0.335 0.495 0.133
O24 0.335 0.505 0.633
O25 0.665 0.495 0.367
O26 0.665 0.505 0.867
O27 0.669 0.109 0.103
O28 0.669 0.891 0.603
O29 0.673 0.390 0.109
O30 0.673 0.610 0.609
O31 0.684 0.001 0.381
O32 0.684 0.999 0.881
O33 0.695 0.172 0.878
O34 0.695 0.828 0.378
O35 0.707 0.063 0.609
O36 0.707 0.937 0.109
O37 0.719 0.443 0.602
O38 0.719 0.557 0.102
O39 0.726 0.338 0.890
O40 0.726 0.662 0.390
O41 0.813 0.250 0.072
O42 0.813 0.750 0.572
O43 0.859 0.133 0.424
O44 0.859 0.867 0.924
O45 0.866 0.366 0.432
O46 0.866 0.634 0.932
O47 0.909 0.254 0.701
O48 0.909 0.746 0.201


Crystalline Ce2C3N6 at its relaxed geometry, computed with PBE-GGA.

Computed properties:
DFT formation energy: -0.90 eV per atom
Electronic total energy: -8.8423 eV/atom
Symmetry: C2/m, No. 12
Corrected total energy (MP2020 scheme): -9.039 eV per atom

a b c (Å): 7.793 7.793 5.358
angles (deg): 96.60 96.60 29.94
Atoms (fractional coordinates):
Ce1 0.135 0.135 0.072
Ce2 0.865 0.865 0.928
C1 0.000 0.000 0.500
C2 0.327 0.327 0.406
C3 0.673 0.673 0.594
N1 0.011 0.011 0.732
N2 0.311 0.311 0.172
N3 0.342 0.342 0.636
N4 0.658 0.658 0.364
N5 0.689 0.689 0.828
N6 0.989 0.989 0.268


Crystalline Gd3GaNiSe7 at its relaxed geometry, computed with PBE-GGA.

Computed properties:
DFT formation energy: -1.57 eV per atom
Total magnetic moment: 1.7435 μB per atom
Electronic total energy: -7.5915 eV/atom
Symmetry: P2_1, No. 4
Corrected total energy (MP2020 scheme): -7.867 eV per atom

a b c (Å): 10.117 6.468 10.133
angles (deg): 90.00 119.90 90.00
Atoms (fractional coordinates):
Gd1 0.127 0.000 0.341
Gd2 0.286 0.500 0.127
Gd3 0.341 0.500 0.714
Gd4 0.659 0.000 0.286
Gd5 0.714 0.000 0.873
Gd6 0.873 0.500 0.659
Ga1 0.167 0.080 0.833
Ga2 0.833 0.580 0.167
Ni1 0.500 0.176 0.500
Ni2 0.500 0.676 0.500
Se1 0.020 0.232 0.938
Se2 0.062 0.232 0.582
Se3 0.167 0.708 0.833
Se4 0.271 0.417 0.400
Se5 0.371 0.917 0.272
Se6 0.400 0.917 0.629
Se7 0.418 0.232 0.980
Se8 0.582 0.732 0.020
Se9 0.600 0.417 0.371
Se10 0.629 0.417 0.728
Se11 0.729 0.917 0.600
Se12 0.833 0.208 0.167
Se13 0.938 0.732 0.418
Se14 0.980 0.732 0.062